Record 1
This record from Materials Project describes a geometry-optimized NaTl2Bi structure. The functional is PBE.

## Properties
As for the formation energy: -0.170 eV/atom.

Cell: 7.926 7.926 7.926 Å, 90.00 90.00 90.00°
Space group Fm-3m (No. 225)
One atom of each set of equivalent atoms:
Na 0.000 0.000 0.000 (multiplicity 4)
Tl 0.250 0.250 0.250 (multiplicity 8)
Bi 0.000 0.000 0.500 (multiplicity 4)

***

Record 2
This record from Materials Project describes a geometry-optimized NdP2H3O6 structure. The functional is PBE.

## Properties
Its total magnetization is 2.00 μB per formula unit. The calculation puts the energy above the most stable polymorph in this dataset at 0.885 eV/atom. As for the formation energy: -1.470 eV/atom.

Cell: 8.281 9.942 8.631 Å, 90.00 111.64 90.00°
Space group P2_1/c (No. 14)
One atom of each set of equivalent atoms:
Nd 0.244 0.036 0.481 (multiplicity 4)
P 0.055 0.118 0.810 (multiplicity 4)
P 0.405 0.653 0.613 (multiplicity 4)
H 0.033 0.666 0.435 (multiplicity 4)
H 0.151 0.035 0.945 (multiplicity 4)
H 0.369 0.635 0.439 (multiplicity 4)
O 0.074 0.061 0.649 (multiplicity 4)
O 0.126 0.239 0.357 (multiplicity 4)
O 0.140 0.596 0.724 (multiplicity 4)
O 0.425 0.683 0.121 (multiplicity 4)
O 0.435 0.074 0.785 (multiplicity 4)
O 0.469 0.635 0.973 (multiplicity 4)

***

Record 3
This record from Materials Project describes a geometry-optimized NdCd3 structure. The functional is PBE.

## Properties
As for the formation energy: -0.303 eV/atom.

Cell: 6.7863 6.7863 5.0559 Å, 90.00 90.00 120.00°
Space group P6_3/mmc (No. 194)
One atom of each set of equivalent atoms:
Nd 0.3333 0.6667 0.2500 (multiplicity 2)
Cd 0.1607 0.3215 0.7500 (multiplicity 6)

***

Record 4
This record from Materials Project describes a geometry-optimized PrMgHg2 structure. The functional is PBE.

## Properties
As for the formation energy: -0.469 eV/atom.

Cell: 7.379 7.379 7.379 Å, 90.00 90.00 90.00°
Space group Fm-3m (No. 225)
One atom of each set of equivalent atoms:
Pr 0.000 0.000 0.000 (multiplicity 4)
Mg 0.000 0.000 0.500 (multiplicity 4)
Hg 0.250 0.250 0.250 (multiplicity 8)

***

Record 5
This record from Materials Project describes a geometry-optimized HoCuAs2 structure. The functional is PBE.

## Properties
As for the formation energy: -0.811 eV/atom.

Cell: 3.897 3.897 9.818 Å, 90.00 90.00 90.00°
Space group P4/nmm (No. 129, origin choice 2)
One atom of each set of equivalent atoms:
Ho 0.250 0.250 0.237 (multiplicity 2)
Cu 0.250 0.750 0.500 (multiplicity 2)
As 0.250 0.250 0.662 (multiplicity 2)
As 0.250 0.750 0.000 (multiplicity 2)

***

Record 6
This record from Materials Project describes a geometry-optimized Ho2Ti12Cu9O36 structure. The functional is PBE.

## Properties
Its total magnetization is 9.00 μB per formula unit. As for the formation energy: -2.719 eV/atom.

Cell: 10.5040 10.5040 6.4460 Å, 90.00 90.00 120.00°
Space group P-3 (No. 147)
One atom of each set of equivalent atoms:
Ho 0.3333 0.6667 0.3288 (multiplicity 2)
Ti 0.0000 0.0000 0.5000 (multiplicity 1)
Ti 0.0000 0.5000 0.5000 (multiplicity 3)
Ti 0.1584 0.8390 0.1631 (multiplicity 6)
Ti 0.3333 0.6667 0.8404 (multiplicity 2)
Cu 0.0000 0.5000 0.0000 (multiplicity 3)
Cu 0.1685 0.3366 0.6615 (multiplicity 6)
O 0.0167 0.8519 0.3301 (multiplicity 6)
O 0.0444 0.7749 0.9112 (multiplicity 6)
O 0.0767 0.6255 0.2504 (multiplicity 6)
O 0.1184 0.4113 0.4133 (multiplicity 6)
O 0.1766 0.6496 0.6462 (multiplicity 6)
O 0.1929 0.5098 0.0180 (multiplicity 6)